The following is a DFT calculation (PBE-GGA) of crystalline SmAlO3 at its relaxed geometry.

DFT total energy = -158.9 eV/cell

abc: 5.3560 7.5425 5.3224
angles: 90.00 90.00 90.00
Last column: nearest neighbours and their distance in Å.
Space group Pnma (No. 62)
Symmetry-distinct sites (fractional):
Sm (0.0344, 0.2500, 0.0085) x4  6 O 2.34-2.52
Al (0.0000, 0.0000, 0.5000) x4  6 O 1.92-1.93
O (0.0130, 0.7500, 0.4287) x4  2 Al 1.92
O (0.2194, 0.5382, 0.7798) x8  2 Al 1.92-1.93